# 1
# Nd4CdIr (r2SCAN, relaxed)
data_Nd4CdIr
_space_group_name_H-M_alt 'F -4 3 m'
_space_group_IT_number 216
_space_group_name_Hall 'F -4 2 3'
_cell_length_a 14.0347
_cell_length_b 14.0347
_cell_length_c 14.0347
_cell_angle_alpha 90.00
_cell_angle_beta 90.00
_cell_angle_gamma 90.00
loop_
_atom_site_label
_atom_site_fract_x
_atom_site_fract_y
_atom_site_fract_z
_atom_site_occupancy
Nd1 0.0000 0.0000 0.1894 1
Nd2 0.0591 0.2500 0.2500 1
Nd3 0.0982 0.0982 0.5982 1
Cd1 0.1709 0.1709 0.8291 1
Ir1 0.1087 0.1087 0.3913 1
# Formation energy from the elements: -0.513 eV per atom
# Raw total energy: -32.20 eV per atom
# Theoretical density: 8.5 g/cm³

=====

# 2
# Pr4CdIr (r2SCAN, relaxed)
data_Pr4CdIr
_space_group_name_H-M_alt 'F -4 3 m'
_space_group_IT_number 216
_space_group_name_Hall 'F -4 2 3'
_cell_length_a 14.1500
_cell_length_b 14.1500
_cell_length_c 14.1500
_cell_angle_alpha 90.00
_cell_angle_beta 90.00
_cell_angle_gamma 90.00
loop_
_atom_site_label
_atom_site_fract_x
_atom_site_fract_y
_atom_site_fract_z
_atom_site_occupancy
Pr1 0.0000 0.0000 0.1896 1
Pr2 0.0589 0.2500 0.7500 1
Pr3 0.0980 0.0980 0.4020 1
Cd1 0.1711 0.1711 0.1711 1
Ir1 0.1087 0.1087 0.6087 1
# Formation energy from the elements: -0.482 eV per atom
# Raw total energy: -32.16 eV per atom
# Theoretical density: 8.1 g/cm³

=====

# 3
# Sm4CdIr (r2SCAN, relaxed)
data_Sm4CdIr
_space_group_name_H-M_alt 'F -4 3 m'
_space_group_IT_number 216
_space_group_name_Hall 'F -4 2 3'
_cell_length_a 13.8485
_cell_length_b 13.8485
_cell_length_c 13.8485
_cell_angle_alpha 90.00
_cell_angle_beta 90.00
_cell_angle_gamma 90.00
loop_
_atom_site_label
_atom_site_fract_x
_atom_site_fract_y
_atom_site_fract_z
_atom_site_occupancy
Sm1 0.0000 0.0000 0.1889 1
Sm2 0.0593 0.2500 0.2500 1
Sm3 0.0984 0.0984 0.5984 1
Cd1 0.1705 0.1705 0.8295 1
Ir1 0.1086 0.1086 0.3914 1
# Formation energy from the elements: -0.546 eV per atom
# Raw total energy: -32.45 eV per atom
# Theoretical density: 9.1 g/cm³

=====

Number 1 is which compound?
Nd4CdIr

=====

Repeat the second record exactly.
# Pr4CdIr (r2SCAN, relaxed)
data_Pr4CdIr
_space_group_name_H-M_alt 'F -4 3 m'
_space_group_IT_number 216
_space_group_name_Hall 'F -4 2 3'
_cell_length_a 14.1500
_cell_length_b 14.1500
_cell_length_c 14.1500
_cell_angle_alpha 90.00
_cell_angle_beta 90.00
_cell_angle_gamma 90.00
loop_
_atom_site_label
_atom_site_fract_x
_atom_site_fract_y
_atom_site_fract_z
_atom_site_occupancy
Pr1 0.0000 0.0000 0.1896 1
Pr2 0.0589 0.2500 0.7500 1
Pr3 0.0980 0.0980 0.4020 1
Cd1 0.1711 0.1711 0.1711 1
Ir1 0.1087 0.1087 0.6087 1
# Formation energy from the elements: -0.482 eV per atom
# Raw total energy: -32.16 eV per atom
# Theoretical density: 8.1 g/cm³